Entry from the Materials Project: a relaxed LiV2OF5 crystal (PBE with a Hubbard U).

Cell lengths 5.242, 5.601, 11.605 Å; angles 99.31, 103.04, 90.04 degrees
Positions (direct):
Li  0.731  0.315  0.511
Li  0.944  0.414  0.833
Li  0.056  0.525  0.156
V  0.829  0.835  0.663
V  0.665  0.665  0.316
V  0.498  0.497  0.996
V  0.333  0.335  0.670
V  0.001  0.996  0.003
V  0.181  0.169  0.349
O  0.697  0.578  0.159
O  0.309  0.417  0.833
O  0.367  0.259  0.506
F  0.325  0.467  0.290
F  0.188  0.691  0.043
F  0.452  0.963  0.297
F  0.318  0.200  0.036
F  0.648  0.726  0.498
F  0.026  0.917  0.833
F  0.863  0.367  0.373
F  0.976  0.142  0.624
F  0.989  0.872  0.371
F  0.113  0.630  0.630
F  0.981  0.104  0.168
F  0.684  0.794  0.960
F  0.551  0.034  0.705
F  0.813  0.303  0.958
F  0.690  0.528  0.707

## Properties
SG   P1
Total magnetic moment   12.0 Bohr magnetons per cell
Relative energy among the computed polymorphs   50.3 meV/atom

=====

Entry from the Materials Project: a relaxed Li3V4O11F crystal (PBE with a Hubbard U).

Cell lengths 5.162, 5.218, 8.344 Å; angles 93.01, 96.10, 100.95 degrees
Positions (direct):
Li  0.138  0.622  0.862
Li  0.589  0.316  0.788
Li  0.647  0.085  0.374
V  0.737  0.905  0.977
V  0.828  0.692  0.557
V  0.269  0.409  0.452
V  0.302  0.184  0.038
O  0.973  0.984  0.510
O  0.384  0.988  0.870
O  0.983  0.768  0.061
O  0.492  0.705  0.432
O  0.745  0.722  0.757
O  0.108  0.524  0.625
O  0.453  0.482  0.987
O  0.239  0.251  0.251
O  0.500  0.265  0.555
O  0.948  0.205  0.937
O  0.587  0.024  0.143
F  0.877  0.462  0.362

## Properties
SG   P1
Total magnetic moment   0.0 Bohr magnetons per cell
Relative energy among the computed polymorphs   16.8 meV/atom

=====

Entry from the Materials Project: a relaxed Li2VO2F crystal (PBE with a Hubbard U).

Cell lengths 3.018, 8.921, 9.050 Å; angles 70.90, 90.00, 90.00 degrees
Positions (direct):
Li  0.000  0.255  0.902
Li  0.000  0.718  0.420
Li  0.000  0.275  0.591
Li  0.000  0.747  0.096
Li  0.500  0.498  0.633
Li  0.500  0.002  0.844
Li  0.500  0.502  0.367
Li  0.500  0.999  0.143
V  0.000  0.261  0.246
V  0.000  0.746  0.750
V  0.500  0.000  0.520
V  0.500  0.502  0.998
O  0.000  0.507  0.844
O  0.000  0.995  0.663
O  0.000  0.496  0.152
O  0.000  0.496  0.499
O  0.500  0.252  0.093
O  0.500  0.230  0.402
O  0.500  0.747  0.907
O  0.500  0.766  0.588
F  0.000  0.999  0.341
F  0.000  0.000  0.002
F  0.500  0.238  0.760
F  0.500  0.767  0.241

## Properties
SG   Pm
Total magnetic moment   8.0 Bohr magnetons per cell
Relative energy among the computed polymorphs   102.5 meV/atom

=====

Entry from the Materials Project: a relaxed Li2VO2F crystal (PBE with a Hubbard U).

Cell lengths 7.975, 7.975, 10.394 Å; angles 70.40, 70.40, 21.86 degrees
Positions (direct):
Li  0.924  0.924  0.698
Li  0.927  0.927  0.192
Li  0.562  0.562  0.038
Li  0.579  0.579  0.543
Li  0.074  0.074  0.296
Li  0.419  0.419  0.453
Li  0.436  0.436  0.971
Li  0.065  0.065  0.809
V  0.749  0.749  0.132
V  0.748  0.748  0.623
V  0.249  0.249  0.377
V  0.238  0.238  0.871
O  0.671  0.671  0.827
O  0.672  0.672  0.333
O  0.825  0.825  0.422
O  0.184  0.184  0.074
O  0.323  0.323  0.174
O  0.173  0.173  0.579
O  0.323  0.323  0.675
O  0.998  0.998  0.001
F  0.825  0.825  0.911
F  0.500  0.500  0.259
F  0.496  0.496  0.740
F  0.998  0.998  0.500

## Properties
SG   Cm
Total magnetic moment   0.0 Bohr magnetons per cell
Relative energy among the computed polymorphs   94.2 meV/atom

=====

Entry from the Materials Project: a relaxed Li2VO2F crystal (PBE with a Hubbard U).

Cell lengths 5.168, 7.197, 6.448 Å; angles 110.26, 75.73, 88.15 degrees
Positions (direct):
Li  0.585  0.916  0.749
Li  0.084  0.418  0.251
Li  0.832  0.170  0.504
Li  0.338  0.664  0.999
Li  0.742  0.746  0.253
Li  0.246  0.247  0.752
Li  0.422  0.087  0.249
Li  0.918  0.585  0.747
V  0.641  0.323  0.992
V  0.519  0.505  0.507
V  0.138  0.828  0.489
V  0.023  0.004  0.009
O  0.839  0.670  0.500
O  0.340  0.169  0.000
O  0.086  0.915  0.256
O  0.585  0.419  0.751
O  0.919  0.076  0.751
O  0.412  0.585  0.260
O  0.255  0.751  0.734
O  0.748  0.260  0.247
F  0.482  0.995  0.493
F  0.979  0.493  0.993
F  0.183  0.336  0.507
F  0.683  0.839  0.008

## Properties
SG   P1
Total magnetic moment   0.0 Bohr magnetons per cell
Relative energy among the computed polymorphs   61.0 meV/atom

=====

Entry from the Materials Project: a relaxed LiV2OF5 crystal (PBE with a Hubbard U).

Cell lengths 5.248, 5.248, 13.757 Å; angles 90.00, 90.00, 120.00 degrees
Positions (direct):
Li  0.000  0.020  0.671
Li  0.980  0.979  0.004
Li  0.021  0.000  0.338
V  0.332  0.683  0.496
V  0.352  0.668  0.163
V  0.317  0.648  0.830
V  0.649  0.317  0.496
V  0.668  0.351  0.163
V  0.683  0.332  0.830
O  0.000  0.352  0.760
O  0.352  0.000  0.426
O  0.648  0.648  0.093
F  0.007  0.652  0.243
F  0.993  0.648  0.575
F  0.001  0.660  0.913
F  0.004  0.350  0.089
F  0.996  0.345  0.423
F  0.348  0.354  0.576
F  0.340  0.341  0.247
F  0.352  0.345  0.909
F  0.345  0.996  0.755
F  0.350  0.004  0.090
F  0.650  0.655  0.422
F  0.655  0.650  0.756
F  0.646  0.993  0.910
F  0.655  0.007  0.242
F  0.659  0.999  0.580

## Properties
SG   P3_1
Total magnetic moment   12.0 Bohr magnetons per cell
Relative energy among the computed polymorphs   51.8 meV/atom

=====

Entry from the Materials Project: a relaxed Li5V6O5F19 crystal (PBE with a Hubbard U).

Cell lengths 5.245, 5.430, 16.072 Å; angles 80.67, 89.91, 89.78 degrees
Positions (direct):
Li  0.279  0.200  0.152
Li  0.204  0.479  0.490
Li  0.700  0.687  0.170
Li  0.044  0.670  0.882
Li  0.796  0.960  0.505
V  0.028  0.027  0.002
V  0.501  0.160  0.674
V  0.969  0.356  0.329
V  0.467  0.811  0.336
V  0.968  0.682  0.669
V  0.534  0.521  0.996
O  0.221  0.261  0.022
O  0.724  0.566  0.310
O  0.224  0.600  0.358
O  0.792  0.708  0.983
O  0.724  0.895  0.645
F  0.773  0.055  0.318
F  0.273  0.110  0.352
F  0.083  0.012  0.887
F  0.571  0.419  0.119
F  0.933  0.267  0.453
F  0.583  0.107  0.780
F  0.077  0.390  0.216
F  0.418  0.228  0.560
F  0.790  0.384  0.646
F  0.722  0.229  0.968
F  0.290  0.763  0.030
F  0.283  0.446  0.684
F  0.916  0.579  0.782
F  0.573  0.772  0.453
F  0.908  0.941  0.116
F  0.428  0.898  0.217
F  0.386  0.570  0.888
F  0.073  0.727  0.551
F  0.213  0.936  0.695

## Properties
SG   P1
Total magnetic moment   6.0 Bohr magnetons per cell
Relative energy among the computed polymorphs   1.4 meV/atom

=====

Entry from the Materials Project: a relaxed Li5V4O12F crystal (PBE with a Hubbard U).

Cell lengths 10.144, 4.693, 11.026 Å; angles 65.31, 90.00, 90.00 degrees
Positions (direct):
Li  0.156  0.300  0.137
Li  0.500  0.000  0.500
Li  0.138  0.621  0.841
Li  0.656  0.700  0.363
Li  0.638  0.379  0.659
Li  0.000  0.000  0.000
Li  0.362  0.621  0.341
Li  0.344  0.300  0.637
Li  0.862  0.379  0.159
Li  0.844  0.700  0.863
V  0.158  0.966  0.480
V  0.485  0.613  0.839
V  0.658  0.034  0.020
V  0.015  0.613  0.339
V  0.985  0.387  0.661
V  0.342  0.966  0.980
V  0.515  0.387  0.161
V  0.842  0.034  0.520
O  0.478  0.088  0.307
O  0.697  0.888  0.496
O  0.690  0.225  0.127
O  0.960  0.789  0.462
O  0.893  0.660  0.698
O  0.649  0.392  0.859
O  0.460  0.211  0.038
O  0.190  0.775  0.373
O  0.149  0.608  0.641
O  0.393  0.340  0.802
O  0.978  0.912  0.193
O  0.197  0.112  0.004
O  0.803  0.888  0.996
O  0.022  0.088  0.807
O  0.607  0.660  0.198
O  0.851  0.392  0.359
O  0.810  0.225  0.627
O  0.540  0.789  0.962
O  0.351  0.608  0.141
O  0.107  0.340  0.302
O  0.040  0.211  0.538
O  0.310  0.775  0.873
O  0.303  0.112  0.504
O  0.522  0.912  0.693
F  0.000  0.500  0.000
F  0.500  0.500  0.500

## Properties
SG   P2_1/c
Total magnetic moment   0.0 Bohr magnetons per cell
E_tot   -6.6035 eV per atom

=====

Entry from the Materials Project: a relaxed Li3V4O11F crystal (PBE with a Hubbard U).

Cell lengths 4.982, 5.089, 9.044 Å; angles 95.27, 89.63, 110.69 degrees
Positions (direct):
Li  0.410  0.836  0.119
Li  0.101  0.653  0.393
Li  0.614  0.171  0.872
V  0.490  0.259  0.384
V  0.963  0.750  0.883
V  0.070  0.188  0.138
V  0.566  0.755  0.642
O  0.477  0.991  0.492
O  0.321  0.497  0.226
O  0.998  0.508  0.989
O  0.758  0.921  0.008
O  0.846  0.025  0.717
O  0.725  0.586  0.483
O  0.272  0.781  0.750
O  0.734  0.235  0.249
O  0.143  0.981  0.269
O  0.271  0.095  0.991
O  0.655  0.519  0.769
F  0.213  0.394  0.505

## Properties
SG   P1
Total magnetic moment   0.0 Bohr magnetons per cell
Relative energy among the computed polymorphs   0.0 meV/atom

=====

Entry from the Materials Project: a relaxed Li2VO2F crystal (PBE with a Hubbard U).

Cell lengths 2.991, 5.101, 7.207 Å; angles 89.11, 90.00, 90.00 degrees
Positions (direct):
Li  0.000  0.835  0.323
Li  0.000  0.500  0.000
Li  0.500  0.000  0.000
Li  0.000  0.165  0.677
V  0.500  0.301  0.341
V  0.500  0.699  0.659
O  0.000  0.500  0.500
O  0.500  0.000  0.500
O  0.000  0.822  0.823
O  0.000  0.178  0.177
F  0.500  0.653  0.172
F  0.500  0.347  0.828

## Properties
SG   P2/m
Total magnetic moment   4.0 Bohr magnetons per cell
Relative energy among the computed polymorphs   115.2 meV/atom

=====

Entry from the Materials Project: a relaxed Li5V6O5F19 crystal (PBE with a Hubbard U).

Cell lengths 5.248, 5.409, 16.117 Å; angles 99.62, 90.05, 90.73 degrees
Positions (direct):
Li  0.974  0.583  0.107
Li  0.205  0.961  0.495
Li  0.716  0.211  0.846
Li  0.804  0.479  0.510
Li  0.314  0.700  0.831
V  0.481  0.472  0.005
V  0.534  0.812  0.663
V  0.026  0.680  0.330
V  0.972  0.025  0.000
V  0.495  0.158  0.327
V  0.032  0.356  0.670
O  0.269  0.244  0.023
O  0.274  0.894  0.356
O  0.778  0.258  0.974
O  0.280  0.567  0.690
O  0.779  0.603  0.641
F  0.206  0.382  0.353
F  0.716  0.447  0.316
F  0.083  0.920  0.886
F  0.084  0.584  0.217
F  0.424  0.769  0.547
F  0.573  0.907  0.782
F  0.619  0.571  0.113
F  0.927  0.729  0.449
F  0.195  0.721  0.025
F  0.226  0.055  0.681
F  0.726  0.113  0.646
F  0.782  0.937  0.308
F  0.069  0.268  0.547
F  0.922  0.046  0.114
F  0.430  0.435  0.882
F  0.921  0.391  0.783
F  0.418  0.108  0.220
F  0.580  0.234  0.441
F  0.699  0.765  0.979

## Properties
SG   P1
Total magnetic moment   6.0 Bohr magnetons per cell
Relative energy among the computed polymorphs   0.0 meV/atom

=====

Entry from the Materials Project: a relaxed Li3V2O4F2 crystal (PBE with a Hubbard U).

Cell lengths 5.963, 5.998, 15.179 Å; angles 84.25, 78.84, 60.33 degrees
Positions (direct):
Li  0.623  0.141  0.165
Li  0.054  0.716  0.165
Li  0.183  0.330  0.291
Li  0.843  0.159  0.665
Li  0.977  0.472  0.048
Li  0.583  0.679  0.175
Li  0.461  0.998  0.041
Li  0.707  0.333  0.296
Li  0.330  0.153  0.665
Li  0.484  0.504  0.027
Li  0.182  0.858  0.296
Li  0.832  0.661  0.669
V  0.749  0.502  0.500
V  0.256  0.995  0.499
V  0.418  0.336  0.824
V  0.248  0.499  0.508
V  0.923  0.830  0.836
V  0.754  0.998  0.494
V  0.917  0.330  0.839
V  0.418  0.835  0.830
O  0.041  0.324  0.580
O  0.713  0.163  0.897
O  0.957  0.173  0.429
O  0.641  0.493  0.761
O  0.550  0.832  0.573
O  0.451  0.668  0.436
O  0.205  0.671  0.896
O  0.105  0.015  0.761
O  0.566  0.325  0.572
O  0.208  0.177  0.897
O  0.428  0.169  0.437
O  0.102  0.504  0.760
O  0.045  0.848  0.571
O  0.951  0.647  0.437
O  0.717  0.668  0.901
O  0.635  0.991  0.754
F  0.304  0.335  0.075
F  0.879  0.510  0.245
F  0.778  0.819  0.090
F  0.386  0.003  0.247
F  0.756  0.349  0.088
F  0.377  0.509  0.255
F  0.307  0.805  0.089
F  0.873  0.004  0.252

## Properties
SG   P1
Total magnetic moment   12.0 Bohr magnetons per cell
Relative energy among the computed polymorphs   39.7 meV/atom